(1)
The following is a DFT calculation (PBE-GGA) of an optimized crystal structure of GdRe3O15.

a = 14.811 Å, b = 8.831 Å, c = 11.566 Å
α = 90.00°, β = 90.00°, γ = 90.00°
Space group Pna2_1 (No. 33)
Unique sites:
1 Gd 0.176 0.229 0.000 (multiplicity 4)
2 Re 0.081 0.696 0.635 (multiplicity 4)
3 Re 0.169 0.897 0.245 (multiplicity 4)
4 Re 0.184 0.398 0.327 (multiplicity 4)
5 O 0.026 0.242 0.082 (multiplicity 4)
6 O 0.070 0.249 0.834 (multiplicity 4)
7 O 0.074 0.961 0.317 (multiplicity 4)
8 O 0.075 0.454 0.362 (multiplicity 4)
9 O 0.082 0.002 0.976 (multiplicity 4)
10 O 0.083 0.502 0.652 (multiplicity 4)
11 O 0.106 0.779 0.767 (multiplicity 4)
12 O 0.126 0.499 0.990 (multiplicity 4)
13 O 0.144 0.724 0.183 (multiplicity 4)
14 O 0.167 0.748 0.536 (multiplicity 4)
15 O 0.190 0.369 0.175 (multiplicity 4)
16 O 0.199 0.029 0.134 (multiplicity 4)
17 O 0.204 0.228 0.396 (multiplicity 4)
18 O 0.239 0.038 0.876 (multiplicity 4)
19 O 0.240 0.371 0.843 (multiplicity 4)

Total DFT energy (no corrections) = -0.2876 hartree per atom

(2)
The following is a DFT calculation (PBE-GGA) of an optimized crystal structure of CaGaSnH.

a = 4.3852 Å, b = 4.3852 Å, c = 4.9679 Å
α = 90.00°, β = 90.00°, γ = 120.00°
Space group P3m1 (No. 156)
Unique sites:
1 Ca 0.0000 0.0000 0.0000 (multiplicity 1)
2 Ga 0.6667 0.3333 0.6164 (multiplicity 1)
3 Sn 0.3333 0.6667 0.4465 (multiplicity 1)
4 H 0.6667 0.3333 0.9640 (multiplicity 1)

Total DFT energy (no corrections) = -0.1277 hartree per atom

| no. | total moment (μB per atom) | mass density (kg/m3) |
| --- | --- | --- |
| 1 | 0.684 | 4197 |
| 2 | 0.000 | 4607 |